# La6Fe13Pb, relaxed, DFT PBE-GGA
# - calculated formation energy (meV per atom) = -61
# - raw total energy (eV for the cell shown) = -289.32
data_La6Fe13Pb
_chemical_formula_sum 'La12 Fe26 Pb2'
_symmetry_space_group_name_H-M 'P 1'
_symmetry_Int_Tables_number 1
_symmetry_space_group_name_Hall 'P 1'
_cell_length_a 13.270
_cell_length_b 13.270
_cell_length_c 13.270
_cell_angle_alpha 144.57
_cell_angle_beta 144.57
_cell_angle_gamma 50.98
loop_
_atom_site_label
_atom_site_type_symbol
_atom_site_fract_x
_atom_site_fract_y
_atom_site_fract_z
_atom_site_occupancy
La1 La 0.020 0.520 0.175 1
La2 La 0.104 0.104 0.000 1
La3 La 0.155 0.980 0.500 1
La4 La 0.345 0.845 0.825 1
La5 La 0.396 0.396 0.000 1
La6 La 0.480 0.655 0.500 1
La7 La 0.520 0.345 0.500 1
La8 La 0.604 0.604 0.000 1
La9 La 0.655 0.155 0.175 1
La10 La 0.845 0.020 0.500 1
La11 La 0.896 0.896 0.000 1
La12 La 0.980 0.480 0.825 1
Fe1 Fe 0.000 0.500 0.500 1
Fe2 Fe 0.022 0.296 0.500 1
Fe3 Fe 0.067 0.210 0.277 1
Fe4 Fe 0.121 0.621 0.856 1
Fe5 Fe 0.204 0.478 0.500 1
Fe6 Fe 0.210 0.933 0.144 1
Fe7 Fe 0.235 0.735 0.856 1
Fe8 Fe 0.265 0.121 0.500 1
Fe9 Fe 0.290 0.433 0.723 1
Fe10 Fe 0.296 0.796 0.274 1
Fe11 Fe 0.379 0.235 0.500 1
Fe12 Fe 0.433 0.710 0.144 1
Fe13 Fe 0.478 0.978 0.274 1
Fe14 Fe 0.500 0.000 0.500 1
Fe15 Fe 0.522 0.022 0.726 1
Fe16 Fe 0.567 0.290 0.856 1
Fe17 Fe 0.621 0.765 0.500 1
Fe18 Fe 0.704 0.204 0.726 1
Fe19 Fe 0.710 0.567 0.277 1
Fe20 Fe 0.735 0.879 0.500 1
Fe21 Fe 0.765 0.265 0.144 1
Fe22 Fe 0.790 0.067 0.856 1
Fe23 Fe 0.796 0.522 0.500 1
Fe24 Fe 0.879 0.379 0.144 1
Fe25 Fe 0.933 0.790 0.723 1
Fe26 Fe 0.978 0.704 0.500 1
Pb1 Pb 0.250 0.250 0.000 1
Pb2 Pb 0.750 0.750 0.000 1